Li4Co13O28 (PBE+U, relaxed); total energy after the MP2020 corrections = -294.71 eV/cell; M_tot = 13.00 μB/f.u.
1.0
7.478 0.000 0.000
-2.095 7.845 0.000
-2.126 -2.148 8.060
Li Co O
4 13 28
Cartesian
0.000 0.000 0.000
-1.003 1.968 4.505
0.123 6.344 1.239
1.766 2.697 3.950
-3.097 1.675 7.943
-2.555 3.869 6.244
-1.982 6.062 4.501
1.162 2.417 1.137
-0.415 2.438 7.425
0.115 4.670 5.778
2.735 -1.053 3.990
3.266 1.010 2.263
3.836 3.180 0.559
2.253 3.152 6.849
2.796 5.298 5.095
5.477 -0.464 3.283
6.005 1.744 1.698
-0.426 2.030 0.142
-3.105 5.624 6.067
-1.996 2.080 6.421
-0.587 -0.127 4.392
-1.440 4.198 4.801
0.036 2.247 2.599
-0.865 6.244 3.109
0.608 4.245 0.854
1.800 0.719 1.196
-0.987 4.232 7.262
0.118 0.664 7.682
1.674 -1.424 5.523
0.634 2.819 5.865
2.400 0.712 3.824
1.164 4.922 4.237
2.741 2.833 2.102
1.678 7.036 2.419
3.286 4.957 0.309
4.381 1.413 0.787
1.773 4.997 6.652
2.775 1.340 7.092
4.395 -0.766 4.838
3.310 3.512 5.287
4.938 1.342 3.224
3.891 5.635 3.555
6.324 -0.071 1.765
5.484 3.544 1.427
3.902 3.551 7.788